1.
A plane-wave DFT calculation with GGA-PBE was carried out for Fe7Se3 after structural relaxation.

```
data_Fe7Se3
_chemical_formula_sum 'Fe28 Se12'
_symmetry_space_group_name_H-M 'P n m a'
_symmetry_Int_Tables_number 62
_cell_length_a 5.646
_cell_length_b 7.964
_cell_length_c 12.537
_cell_angle_alpha 90.00
_cell_angle_beta 90.00
_cell_angle_gamma 90.00
loop_
_symmetry_equiv_pos_as_xyz
'x,y,z'
'-x,-y,-z'
'-x+1/2,-y,z+1/2'
'x+1/2,y,-z+1/2'
'x+1/2,-y+1/2,-z+1/2'
'-x+1/2,y+1/2,z+1/2'
'-x,y+1/2,-z'
'x,-y+1/2,z'
loop_
_atom_site_label
_atom_site_fract_x
_atom_site_fract_y
_atom_site_fract_z
_atom_site_occupancy
Fe1 0.018 0.008 0.197 1
Fe2 0.138 0.750 0.099 1
Fe3 0.181 0.087 0.991 1
Fe4 0.183 0.750 0.686 1
Fe5 0.248 0.750 0.299 1
Se1 0.048 0.038 0.622 1
Se2 0.120 0.750 0.901 1
```

DFT formation energy: -0.0402 eV per atom
volume: 14.1 A^3/atom
theoretical density: 7.4 Mg/m³
total energy after the MP2020 corrections: -7.018 eV/atom

=====

2.
A plane-wave DFT calculation with GGA-PBE was carried out for LaBeO3 after structural relaxation.

```
data_LaBeO3
_chemical_formula_sum 'La1 Be1 O3'
_symmetry_space_group_name_H-M 'P m -3 m'
_symmetry_Int_Tables_number 221
_symmetry_space_group_name_Hall '-P 4 2 3'
_cell_length_a 3.708
_cell_length_b 3.708
_cell_length_c 3.708
_cell_angle_alpha 90.00
_cell_angle_beta 90.00
_cell_angle_gamma 90.00
loop_
_atom_site_label
_atom_site_fract_x
_atom_site_fract_y
_atom_site_fract_z
_atom_site_occupancy
La1 0.000 0.000 0.000 1
Be1 0.500 0.500 0.500 1
O1 0.000 0.500 0.500 1
```

DFT formation energy: -2.9196 eV per atom
volume: 10.2 A^3/atom
theoretical density: 6.4 Mg/m³
total energy after the MP2020 corrections: -7.624 eV/atom

=====

3.
A plane-wave DFT calculation with GGA-PBE was carried out for Na3HfZrSi2PO12 after structural relaxation.

```
data_Na3HfZrSi2PO12
_chemical_formula_sum 'Na18 Hf6 Zr6 Si12 P6 O72'
_symmetry_space_group_name_H-M 'P 1'
_symmetry_Int_Tables_number 1
_cell_length_a 9.166
_cell_length_b 9.166
_cell_length_c 22.507
_cell_angle_alpha 89.77
_cell_angle_beta 89.78
_cell_angle_gamma 60.16
loop_
_symmetry_equiv_pos_as_xyz
'x,y,z'
loop_
_atom_site_label
_atom_site_fract_x
_atom_site_fract_y
_atom_site_fract_z
_atom_site_occupancy
Na1 0.000 0.000 0.000 1
Na2 0.001 0.622 0.750 1
Na3 0.021 0.980 0.499 1
Na4 0.039 0.645 0.412 1
Na5 0.312 0.649 0.916 1
Na6 0.332 0.685 0.580 1
Na7 0.334 0.334 0.332 1
Na8 0.336 0.955 0.083 1
Na9 0.351 0.314 0.834 1
Na10 0.372 0.978 0.747 1
Na11 0.645 0.982 0.249 1
Na12 0.664 0.016 0.913 1
Na13 0.667 0.666 0.666 1
Na14 0.668 0.291 0.415 1
Na15 0.687 0.647 0.166 1
Na16 0.705 0.312 0.081 1
Na17 0.976 0.315 0.583 1
Na18 0.998 0.352 0.246 1
Hf1 0.010 0.978 0.353 1
Hf2 0.331 0.323 0.188 1
Hf3 0.333 0.311 0.982 1
Hf4 0.666 0.644 0.313 1
Hf5 0.997 0.980 0.147 1
Hf6 0.998 0.991 0.855 1
Zr1 0.331 0.312 0.480 1
Zr2 0.345 0.311 0.688 1
Zr3 0.664 0.646 0.815 1
Zr4 0.665 0.658 0.520 1
Zr5 0.678 0.645 0.021 1
Zr6 0.999 0.977 0.647 1
Si1 0.004 0.686 0.254 1
Si2 0.040 0.610 0.584 1
Si3 0.041 0.316 0.088 1
Si4 0.295 0.688 0.752 1
Si5 0.338 0.018 0.588 1
Si6 0.372 0.653 0.420 1
Si7 0.372 0.946 0.919 1
Si8 0.629 0.022 0.085 1
Si9 0.670 0.350 0.922 1
Si10 0.706 0.984 0.756 1
Si11 0.708 0.276 0.251 1
Si12 0.962 0.353 0.417 1
P1 0.001 0.277 0.748 1
P2 0.297 0.981 0.247 1
P3 0.333 0.610 0.082 1
P4 0.632 0.315 0.580 1
P5 0.670 0.944 0.412 1
P6 0.967 0.648 0.914 1
O1 0.012 0.162 0.801 1
O2 0.020 0.773 0.315 1
O3 0.026 0.794 0.587 1
O4 0.032 0.140 0.087 1
O5 0.127 0.331 0.150 1
O6 0.136 0.495 0.643 1
O7 0.146 0.497 0.922 1
O8 0.147 0.340 0.420 1
O9 0.159 0.516 0.526 1
O10 0.162 0.011 0.586 1
O11 0.162 0.304 0.033 1
O12 0.164 0.495 0.249 1
O13 0.166 0.287 0.750 1
O14 0.179 0.787 0.810 1
O15 0.180 0.813 0.415 1
O16 0.181 0.997 0.300 1
O17 0.182 0.790 0.088 1
O18 0.189 0.957 0.914 1
O19 0.205 0.804 0.693 1
O20 0.218 0.964 0.189 1
O21 0.306 0.505 0.749 1
O22 0.310 0.145 0.248 1
O23 0.318 0.531 0.024 1
O24 0.328 0.139 0.533 1
O25 0.346 0.495 0.134 1
O26 0.352 0.104 0.650 1
O27 0.358 0.130 0.923 1
O28 0.363 0.477 0.418 1
O29 0.456 0.668 0.482 1
O30 0.467 0.827 0.977 1
O31 0.477 0.830 0.254 1
O32 0.481 0.673 0.755 1
O33 0.493 0.854 0.861 1
O34 0.495 0.342 0.921 1
O35 0.495 0.640 0.365 1
O36 0.497 0.623 0.083 1
O37 0.498 0.827 0.584 1
O38 0.512 0.118 0.144 1
O39 0.515 0.144 0.752 1
O40 0.517 0.327 0.633 1
O41 0.519 0.124 0.418 1
O42 0.524 0.288 0.246 1
O43 0.537 0.142 0.027 1
O44 0.553 0.301 0.522 1
O45 0.640 0.839 0.081 1
O46 0.642 0.480 0.582 1
O47 0.654 0.863 0.355 1
O48 0.655 0.475 0.867 1
O49 0.685 0.830 0.465 1
O50 0.688 0.435 0.984 1
O51 0.692 0.462 0.255 1
O52 0.697 0.809 0.753 1
O53 0.794 0.996 0.817 1
O54 0.803 0.158 0.309 1
O55 0.811 0.165 0.586 1
O56 0.815 0.008 0.089 1
O57 0.825 0.973 0.700 1
O58 0.829 0.184 0.193 1
O59 0.829 0.676 0.253 1
O60 0.831 0.160 0.917 1
O61 0.834 0.957 0.413 1
O62 0.847 0.447 0.476 1
O63 0.849 0.476 0.084 1
O64 0.849 0.666 0.967 1
O65 0.851 0.457 0.754 1
O66 0.857 0.619 0.581 1
O67 0.868 0.475 0.359 1
O68 0.891 0.630 0.856 1
O69 0.974 0.170 0.412 1
O70 0.981 0.811 0.915 1
O71 0.987 0.199 0.690 1
O72 0.989 0.810 0.199 1
```

DFT formation energy: -3.1723 eV per atom
volume: 13.7 A^3/atom
theoretical density: 3.8 Mg/m³
total energy after the MP2020 corrections: -8.078 eV/atom

=====

4.
A plane-wave DFT calculation with GGA-PBE was carried out for NbS after structural relaxation.

```
data_NbS
_chemical_formula_sum 'Nb1 S1'
_symmetry_space_group_name_H-M 'P -6 m 2'
_symmetry_Int_Tables_number 187
_symmetry_space_group_name_Hall 'P -6 2'
_cell_length_a 3.3186
_cell_length_b 3.3186
_cell_length_c 3.3243
_cell_angle_alpha 90.00
_cell_angle_beta 90.00
_cell_angle_gamma 120.00
loop_
_atom_site_label
_atom_site_fract_x
_atom_site_fract_y
_atom_site_fract_z
_atom_site_occupancy
Nb1 0.0000 0.0000 0.0000 1
S1 0.3333 0.6667 0.5000 1
```

DFT formation energy: -1.1359 eV per atom
volume: 15.9 A^3/atom
theoretical density: 6.5 Mg/m³
total energy after the MP2020 corrections: -8.255 eV/atom

=====

5.
A plane-wave DFT calculation with GGA-PBE was carried out for HfCuGeAs after structural relaxation.

```
data_HfCuGeAs
_chemical_formula_sum 'Hf2 Cu2 Ge2 As2'
_symmetry_space_group_name_H-M 'P 4/n m m'
_symmetry_Int_Tables_number 129
_cell_length_a 3.733
_cell_length_b 3.733
_cell_length_c 9.495
_cell_angle_alpha 90.00
_cell_angle_beta 90.00
_cell_angle_gamma 90.00
loop_
_symmetry_equiv_pos_as_xyz
'x,y,z'
'-x,-y,-z'
'-y+1/2,x,z'
'y+1/2,-x,-z'
'-x+1/2,-y+1/2,z'
'x+1/2,y+1/2,-z'
'y,-x+1/2,z'
'-y,x+1/2,-z'
'x+1/2,-y,-z'
'-x+1/2,y,z'
'-y,-x,-z'
'y,x,z'
'-x,y+1/2,-z'
'x,-y+1/2,z'
'y+1/2,x+1/2,-z'
'-y+1/2,-x+1/2,z'
loop_
_atom_site_label
_atom_site_fract_x
_atom_site_fract_y
_atom_site_fract_z
_atom_site_occupancy
Hf1 0.250 0.250 0.227 1
Cu1 0.250 0.750 0.500 1
Ge1 0.250 0.750 0.000 1
As1 0.250 0.250 0.680 1
```

DFT formation energy: -0.5025 eV per atom
volume: 16.5 A^3/atom
theoretical density: 9.8 Mg/m³

=====

6.
A plane-wave DFT calculation with GGA-PBE was carried out for NbCrSi after structural relaxation.

```
data_NbCrSi
_chemical_formula_sum 'Nb3 Cr3 Si3'
_symmetry_space_group_name_H-M 'P -6 2 m'
_symmetry_Int_Tables_number 189
_symmetry_space_group_name_Hall 'P -6 -2'
_cell_length_a 6.6505
_cell_length_b 6.6505
_cell_length_c 3.3223
_cell_angle_alpha 90.00
_cell_angle_beta 90.00
_cell_angle_gamma 120.00
loop_
_atom_site_label
_atom_site_fract_x
_atom_site_fract_y
_atom_site_fract_z
_atom_site_occupancy
Nb1 0.0000 0.5954 0.0000 1
Cr1 0.0000 0.2536 0.5000 1
Si1 0.0000 0.0000 0.0000 1
Si2 0.3333 0.6667 0.5000 1
```

DFT formation energy: -0.4755 eV per atom
volume: 14.1 A^3/atom
theoretical density: 6.8 Mg/m³
total energy after the MP2020 corrections: -8.869 eV/atom

=====

7.
A plane-wave DFT calculation with GGA-PBE was carried out for Nb2Si3Sn2S3O24 after structural relaxation.

```
data_Nb2Si3Sn2S3O24
_chemical_formula_sum 'Nb6 Si9 Sn6 S9 O72'
_symmetry_space_group_name_H-M 'P 1'
_symmetry_Int_Tables_number 1
_cell_length_a 8.883
_cell_length_b 8.890
_cell_length_c 22.952
_cell_angle_alpha 90.21
_cell_angle_beta 90.15
_cell_angle_gamma 119.81
loop_
_symmetry_equiv_pos_as_xyz
'x,y,z'
loop_
_atom_site_label
_atom_site_fract_x
_atom_site_fract_y
_atom_site_fract_z
_atom_site_occupancy
Nb1 0.000 0.000 0.000 1
Nb2 0.006 0.025 0.495 1
Nb3 0.337 0.669 0.333 1
Nb4 0.346 0.677 0.827 1
Nb5 0.678 0.355 0.162 1
Nb6 0.686 0.336 0.656 1
Si1 0.005 0.290 0.386 1
Si2 0.062 0.392 0.720 1
Si3 0.067 0.685 0.221 1
Si4 0.396 0.340 0.552 1
Si5 0.397 0.057 0.055 1
Si6 0.669 0.620 0.054 1
Si7 0.671 0.050 0.552 1
Si8 0.730 0.019 0.888 1
Si9 0.730 0.720 0.388 1
Sn1 0.005 0.998 0.286 1
Sn2 0.011 0.022 0.783 1
Sn3 0.347 0.665 0.613 1
Sn4 0.352 0.691 0.117 1
Sn5 0.674 0.334 0.953 1
Sn6 0.680 0.344 0.448 1
S1 0.014 0.725 0.887 1
S2 0.303 0.013 0.388 1
S3 0.305 0.299 0.887 1
S4 0.344 0.390 0.222 1
S5 0.346 0.965 0.722 1
S6 0.639 0.678 0.722 1
S7 0.640 0.969 0.222 1
S8 0.971 0.636 0.554 1
S9 0.972 0.348 0.055 1
O1 0.043 0.853 0.229 1
O2 0.046 0.204 0.728 1
O3 0.049 0.837 0.939 1
O4 0.050 0.209 0.444 1
O5 0.145 0.656 0.564 1
O6 0.148 0.494 0.063 1
O7 0.163 0.518 0.778 1
O8 0.163 0.653 0.278 1
O9 0.175 0.710 0.879 1
O10 0.176 0.705 0.163 1
O11 0.184 0.487 0.665 1
O12 0.185 0.483 0.378 1
O13 0.190 0.982 0.733 1
O14 0.194 0.978 0.439 1
O15 0.196 0.224 0.938 1
O16 0.197 0.214 0.229 1
O17 0.205 0.044 0.040 1
O18 0.208 0.162 0.544 1
O19 0.231 0.043 0.334 1
O20 0.232 0.192 0.834 1
O21 0.316 0.860 0.670 1
O22 0.320 0.466 0.168 1
O23 0.322 0.476 0.878 1
O24 0.323 0.855 0.379 1
O25 0.366 0.865 0.061 1
O26 0.371 0.505 0.561 1
O27 0.377 0.883 0.775 1
O28 0.381 0.502 0.273 1
O29 0.478 0.162 0.393 1
O30 0.482 0.328 0.893 1
O31 0.493 0.184 0.111 1
O32 0.496 0.319 0.612 1
O33 0.502 0.139 0.716 1
O34 0.506 0.374 0.214 1
O35 0.506 0.868 0.568 1
O36 0.508 0.648 0.066 1
O37 0.509 0.134 0.996 1
O38 0.518 0.378 0.497 1
O39 0.527 0.655 0.774 1
O40 0.530 0.890 0.272 1
O41 0.537 0.843 0.874 1
O42 0.540 0.710 0.374 1
O43 0.567 0.717 0.670 1
O44 0.568 0.860 0.168 1
O45 0.647 0.142 0.497 1
O46 0.653 0.522 0.715 1
O47 0.655 0.142 0.211 1
O48 0.655 0.519 0.994 1
O49 0.699 0.529 0.397 1
O50 0.710 0.188 0.896 1
O51 0.714 0.537 0.111 1
O52 0.715 0.180 0.611 1
O53 0.816 0.830 0.730 1
O54 0.816 0.994 0.227 1
O55 0.827 0.850 0.445 1
O56 0.827 0.985 0.944 1
O57 0.842 0.798 0.330 1
O58 0.843 0.042 0.831 1
O59 0.847 0.322 0.397 1
O60 0.848 0.815 0.045 1
O61 0.849 0.037 0.547 1
O62 0.859 0.551 0.608 1
O63 0.860 0.312 0.106 1
O64 0.865 0.550 0.895 1
O65 0.872 0.378 0.711 1
O66 0.874 0.507 0.209 1
O67 0.899 0.526 0.503 1
O68 0.901 0.380 0.001 1
O69 0.987 0.807 0.548 1
O70 0.989 0.189 0.046 1
O71 0.989 0.802 0.833 1
O72 0.990 0.185 0.327 1
```

DFT formation energy: -2.4220 eV per atom
volume: 15.4 A^3/atom
theoretical density: 3.1 Mg/m³
total energy after the MP2020 corrections: -7.588 eV/atom

=====

8.
A plane-wave DFT calculation with GGA-PBE was carried out for TiAl3 after structural relaxation.

```
data_TiAl3
_chemical_formula_sum 'Ti1 Al3'
_symmetry_space_group_name_H-M 'P m m 2'
_symmetry_Int_Tables_number 25
_cell_length_a 2.840
_cell_length_b 4.681
_cell_length_c 4.901
_cell_angle_alpha 90.00
_cell_angle_beta 90.00
_cell_angle_gamma 90.00
loop_
_symmetry_equiv_pos_as_xyz
'x,y,z'
'-x,-y,z'
'-x,y,z'
'x,-y,z'
loop_
_atom_site_label
_atom_site_fract_x
_atom_site_fract_y
_atom_site_fract_z
_atom_site_occupancy
Ti1 0.000 0.000 0.000 1
Al1 0.000 0.500 0.670 1
Al2 0.500 0.000 0.501 1
Al3 0.500 0.500 0.165 1
```

DFT formation energy: -0.2431 eV per atom
volume: 16.3 A^3/atom
theoretical density: 3.3 Mg/m³

=====

9.
A plane-wave DFT calculation with GGA-PBE was carried out for Na3GdP2O8 after structural relaxation.

```
data_Na3GdP2O8
_chemical_formula_sum 'Na18 Gd6 P12 O48'
_symmetry_space_group_name_H-M 'P -1'
_symmetry_Int_Tables_number 2
_cell_length_a 5.372
_cell_length_b 14.056
_cell_length_c 14.196
_cell_angle_alpha 91.25
_cell_angle_beta 100.79
_cell_angle_gamma 90.04
loop_
_symmetry_equiv_pos_as_xyz
'x,y,z'
'-x,-y,-z'
loop_
_atom_site_label
_atom_site_fract_x
_atom_site_fract_y
_atom_site_fract_z
_atom_site_occupancy
Na1 0.000 0.000 0.000 1
Na2 0.000 0.500 0.000 1
Na3 0.105 0.137 0.238 1
Na4 0.128 0.637 0.236 1
Na5 0.217 0.822 0.444 1
Na6 0.218 0.323 0.443 1
Na7 0.343 0.734 0.696 1
Na8 0.346 0.234 0.698 1
Na9 0.408 0.079 0.891 1
Na10 0.489 0.579 0.891 1
Gd1 0.096 0.750 0.000 1
Gd2 0.310 0.986 0.643 1
Gd3 0.340 0.485 0.644 1
P1 0.096 0.390 0.224 1
P2 0.124 0.889 0.223 1
P3 0.226 0.603 0.457 1
P4 0.232 0.104 0.457 1
P5 0.407 0.348 0.884 1
P6 0.481 0.849 0.884 1
O1 0.024 0.854 0.596 1
O2 0.040 0.362 0.591 1
O3 0.047 0.874 0.113 1
O4 0.049 0.029 0.748 1
O5 0.061 0.375 0.112 1
O6 0.088 0.798 0.278 1
O7 0.149 0.350 0.920 1
O8 0.162 0.577 0.751 1
O9 0.184 0.299 0.278 1
O10 0.223 0.993 0.455 1
O11 0.226 0.150 0.082 1
O12 0.238 0.493 0.457 1
O13 0.274 0.136 0.566 1
O14 0.284 0.638 0.565 1
O15 0.298 0.471 0.250 1
O16 0.344 0.910 0.950 1
O17 0.358 0.381 0.779 1
O18 0.371 0.745 0.887 1
O19 0.392 0.589 0.051 1
O20 0.405 0.924 0.249 1
O21 0.426 0.646 0.404 1
O22 0.428 0.881 0.778 1
O23 0.449 0.140 0.411 1
O24 0.485 0.755 0.114 1
```

DFT formation energy: -2.9401 eV per atom
volume: 12.5 A^3/atom
theoretical density: 3.9 Mg/m³
total energy after the MP2020 corrections: -7.830 eV/atom

=====

10.
A plane-wave DFT calculation with GGA-PBE was carried out for NdAlSi after structural relaxation.

```
data_NdAlSi
_chemical_formula_sum 'Nd4 Al4 Si4'
_symmetry_space_group_name_H-M 'I 41 m d'
_symmetry_Int_Tables_number 109
_symmetry_space_group_name_Hall 'I 4bw -2'
_cell_length_a 4.216
_cell_length_b 4.216
_cell_length_c 14.635
_cell_angle_alpha 90.00
_cell_angle_beta 90.00
_cell_angle_gamma 90.00
loop_
_atom_site_label
_atom_site_fract_x
_atom_site_fract_y
_atom_site_fract_z
_atom_site_occupancy
Nd1 0.000 0.000 0.000 1
Al1 0.000 0.000 0.584 1
Si1 0.000 0.000 0.418 1
```

DFT formation energy: -0.6373 eV per atom
volume: 21.7 A^3/atom
theoretical density: 5.1 Mg/m³
total energy after the MP2020 corrections: -5.284 eV/atom